# 1
Na6La4Zn4SiS11O48 | Materials Project | GGA-PBE | optimized geometry; final energy = -1378.980 eV per cell; total moment = 0.00 μB/f.u.; SG = P1 (1)
1.0
18.380 0.015 0.007
-4.588 7.961 0.022
0.009 0.070 24.068
Na La Zn Si S O
18 12 12 3 33 144
Cartesian
15.060 0.043 5.875
15.379 5.089 6.148
2.816 5.250 18.100
12.068 5.210 17.952
16.598 2.886 18.117
12.631 0.100 18.021
13.743 7.981 12.038
9.270 0.069 11.799
0.026 0.018 0.007
9.207 0.084 24.071
4.761 2.497 20.242
13.871 2.632 20.193
4.607 2.705 7.777
13.590 2.811 8.101
0.185 5.352 4.241
9.266 5.216 4.164
0.006 5.534 16.000
9.266 5.418 15.917
13.794 7.882 8.511
13.696 8.034 20.477
9.114 0.166 20.501
13.634 7.965 15.599
9.114 0.069 15.626
0.019 0.031 3.570
4.559 7.909 3.624
4.710 2.532 16.381
4.583 2.651 11.489
0.016 5.310 0.512
9.190 5.347 0.539
9.294 5.228 7.740
4.535 7.947 8.418
13.925 2.501 16.175
4.603 2.672 4.387
13.603 2.845 4.389
4.599 2.735 23.715
13.799 2.735 23.724
13.760 2.681 11.739
-0.011 5.330 12.318
9.271 5.359 12.370
0.124 5.380 7.809
0.051 5.654 19.790
9.273 5.492 19.794
12.430 5.500 5.945
1.711 7.897 18.149
15.463 0.067 18.065
-1.657 7.971 6.048
11.928 0.109 6.088
3.195 5.542 6.161
-1.410 2.529 6.032
7.701 2.324 6.062
1.346 2.570 18.098
10.665 2.588 18.055
15.227 5.521 18.057
6.102 5.601 18.141
7.503 2.879 13.916
16.437 2.842 13.974
3.243 0.102 13.928
12.548 0.329 13.992
3.060 5.094 14.007
12.393 4.892 14.002
5.847 4.847 2.025
15.058 4.881 2.009
5.862 0.491 2.003
15.052 0.507 2.044
2.094 2.664 2.009
11.226 2.630 1.984
2.794 5.218 22.054
11.966 5.218 22.066
-1.476 3.072 22.029
7.720 3.130 22.067
-1.269 7.836 22.085
7.936 7.852 22.059
1.437 7.561 9.978
10.476 7.796 10.224
1.251 3.122 10.038
10.626 2.872 10.199
-2.608 5.224 10.097
6.444 5.502 10.078
2.068 0.254 7.216
11.037 0.229 7.258
3.818 6.259 7.298
13.115 6.195 7.283
8.064 1.534 7.261
17.237 1.662 7.210
1.181 1.695 19.281
10.496 1.679 19.226
5.483 6.280 19.303
14.589 6.165 19.247
7.287 0.149 19.402
16.445 0.481 19.317
2.678 7.673 16.820
11.868 7.601 16.841
0.826 1.875 16.884
10.041 1.944 16.866
-3.352 6.393 16.869
5.893 6.445 16.921
3.397 6.332 4.894
12.705 6.537 4.704
-0.763 1.943 4.828
8.265 1.700 4.829
-2.536 7.721 4.863
6.544 7.904 4.859
6.744 3.007 15.197
15.711 2.939 15.292
3.752 0.713 15.194
13.008 0.921 15.302
3.353 4.408 15.307
12.703 4.206 15.297
5.495 4.141 3.268
14.732 4.189 3.267
5.422 1.160 3.232
14.629 1.146 3.310
2.882 2.704 3.251
12.015 2.682 3.219
2.886 2.622 0.771
12.024 2.585 0.751
5.409 4.187 0.789
14.601 4.181 0.795
5.517 1.198 0.758
14.658 1.227 0.821
3.560 1.000 12.798
12.871 1.193 12.855
3.660 4.313 12.902
12.955 4.197 12.838
6.554 2.692 12.801
15.522 2.683 12.841
1.914 5.398 23.241
11.084 5.389 23.244
-0.921 3.753 23.229
8.247 3.785 23.291
-1.000 7.028 23.299
8.239 7.014 23.246
1.138 6.823 11.223
10.115 6.856 11.307
0.823 3.793 11.276
9.980 3.612 11.311
-1.710 5.372 11.258
7.313 5.589 11.266
-1.861 5.153 8.803
7.232 5.309 8.836
0.854 6.930 8.778
10.038 7.255 8.892
0.900 3.841 8.802
10.463 3.646 8.918
-1.129 3.811 20.793
8.105 3.888 20.854
-0.768 7.142 20.872
8.406 7.185 20.813
1.978 5.130 20.814
11.166 5.147 20.811
-3.467 6.477 10.087
5.591 6.714 9.962
2.918 7.711 9.847
11.976 7.906 10.198
0.653 1.757 10.014
9.956 1.553 10.028
-0.846 1.706 22.026
8.346 1.766 22.065
-2.750 7.987 21.999
6.454 8.002 22.034
3.682 6.424 22.026
12.849 6.429 22.040
8.352 1.658 13.982
17.312 1.604 14.031
-2.823 7.948 14.025
11.055 0.186 14.072
3.717 6.438 14.007
13.017 6.274 14.028
5.238 6.222 2.033
14.462 6.256 1.991
7.358 0.323 2.012
16.543 0.358 2.002
1.208 1.458 1.991
10.340 1.421 2.010
5.339 1.260 18.027
14.544 1.404 17.774
2.806 2.871 17.954
12.125 2.761 17.857
5.384 4.305 17.975
14.539 4.215 17.861
3.837 4.205 5.997
13.214 4.080 5.822
6.226 2.435 5.941
15.490 2.581 5.865
3.792 1.193 5.817
12.832 1.286 5.979
3.612 3.992 22.193
12.789 3.997 22.192
6.246 2.990 22.150
15.429 2.956 22.158
3.980 1.197 22.166
13.180 1.214 22.156
5.406 0.976 10.023
14.458 1.166 10.368
2.744 2.976 10.039
12.094 2.727 10.377
5.561 4.291 10.167
14.894 4.052 10.222
1.214 3.881 2.016
10.353 3.853 1.989
-1.829 5.014 1.982
7.338 5.013 2.025
0.667 7.078 2.022
9.860 7.089 2.040
-0.695 6.750 13.797
8.589 6.944 13.898
1.597 5.223 13.854
10.914 5.052 13.890
-1.078 4.021 13.855
8.321 4.095 13.760
-0.872 6.711 6.237
8.236 6.864 6.197
1.717 5.393 6.319
10.787 5.475 6.042
-0.897 3.912 6.223
8.298 3.693 6.133
0.610 3.831 18.259
10.036 3.913 18.278
-1.709 5.278 18.260
7.548 5.433 18.316
0.883 6.491 18.266
9.950 6.691 18.353

---

# 2
Na4La2Zn2SiS5O24 | Materials Project | GGA-PBE | optimized geometry; final energy = -707.092 eV per cell; total moment = 0.00 μB/f.u.; SG = P1 (1)
1.0
9.301 0.011 0.020
-4.641 7.998 -0.004
0.052 0.018 23.504
Na La Zn Si S O
12 6 6 3 15 72
Cartesian
6.284 5.012 5.730
7.650 2.770 18.094
-1.127 7.926 17.860
1.593 7.784 13.870
3.116 5.501 1.761
3.018 0.283 9.799
0.173 0.013 11.626
-4.402 7.936 0.159
4.707 2.649 19.917
4.672 2.678 7.768
-0.155 5.326 4.089
0.195 5.523 15.830
4.550 7.930 20.101
-4.544 7.974 15.210
0.058 0.054 3.647
4.604 2.643 15.968
-0.237 5.329 0.563
-0.039 5.347 11.908
9.239 0.046 8.131
4.749 2.676 4.015
4.851 2.813 23.268
4.550 2.635 11.426
0.132 5.307 7.521
0.351 5.584 19.312
1.815 7.972 17.500
3.243 0.244 13.537
5.935 5.007 2.164
-1.734 7.925 6.082
3.213 5.613 6.017
-1.360 2.511 6.059
1.366 2.560 17.746
-3.000 5.523 17.709
7.416 2.658 13.604
3.310 5.126 13.515
6.019 0.388 1.970
2.081 2.642 1.946
2.822 5.140 21.680
-1.503 3.010 21.449
-1.236 7.893 21.468
1.484 7.795 9.675
1.446 2.831 9.634
-2.928 5.389 9.592
2.044 0.109 7.285
3.866 6.437 7.072
-0.948 1.670 7.195
1.133 1.610 18.864
-3.529 6.239 18.891
7.640 0.260 18.612
2.511 7.855 16.011
0.866 1.947 16.478
-3.322 6.298 16.477
3.406 6.309 4.692
-0.862 1.931 4.774
-2.635 7.686 4.887
6.773 2.744 14.953
3.690 0.928 14.983
3.722 4.568 14.831
5.554 4.339 3.618
5.534 1.016 3.221
2.880 2.587 3.194
2.883 2.532 0.722
5.335 4.234 0.871
5.561 1.063 0.749
3.721 1.086 12.212
3.796 4.329 12.387
6.419 2.752 12.527
2.024 5.229 22.924
-1.006 3.767 22.616
-0.883 7.051 22.634
1.344 7.127 11.018
0.955 3.375 10.930
-2.067 5.664 10.810
-2.030 5.192 8.426
0.786 6.945 8.661
1.052 3.711 8.518
-1.113 3.687 20.190
-0.825 7.202 20.197
1.946 5.147 20.474
-3.746 6.639 9.453
2.925 7.971 9.419
0.876 1.444 9.499
-0.891 1.642 21.528
1.916 0.073 21.486
3.716 6.352 21.656
8.110 1.331 13.503
1.611 0.040 13.534
3.845 6.517 13.408
5.210 6.514 2.067
7.518 0.314 1.978
1.071 1.539 1.952
5.455 1.296 17.656
2.829 2.798 17.670
5.709 4.172 17.690
3.892 4.293 6.011
6.458 2.643 6.039
3.761 1.105 5.880
3.646 3.919 21.637
6.320 2.912 21.535
4.088 1.194 21.550
5.412 1.112 9.696
2.941 2.700 9.667
5.529 4.208 9.825
1.340 3.961 1.964
-1.728 5.207 2.157
0.895 6.956 1.983
-0.563 6.804 13.562
1.819 5.213 13.528
-0.884 3.733 13.515
-0.930 6.658 6.187
1.749 5.464 6.213
-0.778 3.901 6.146
0.624 3.822 17.931
-1.525 5.416 17.784
0.887 6.649 17.776

---

# 3
Na7La3ZnSi3S3O24 | Materials Project | GGA-PBE | optimized geometry; final energy = -794.680 eV per cell; total moment = 0.00 μB/f.u.; SG = P1 (1)
1.0
-8.720 -2.891 3.029
7.848 -3.089 4.564
-1.011 18.467 14.712
Na La Zn Si S O
21 9 3 9 9 72
Cartesian
-5.760 2.506 5.479
-0.841 2.004 6.391
-3.815 -0.022 9.509
-1.354 9.796 15.485
-6.618 9.861 15.457
-3.939 12.642 12.447
4.787 8.438 11.647
1.003 6.017 15.041
4.894 -2.508 6.724
-0.355 -2.172 6.648
-6.595 14.830 15.701
-1.626 15.092 15.873
-6.504 3.783 10.136
-3.071 6.590 7.003
-1.317 3.502 11.437
-1.368 3.166 14.600
-0.054 -0.027 0.247
-4.035 12.389 15.479
-3.537 2.954 8.449
1.913 -0.045 6.468
1.249 9.288 13.874
-0.909 15.539 12.493
-0.615 12.027 9.650
-8.682 -0.119 5.282
-4.242 15.342 18.045
-3.638 5.950 10.722
2.386 -2.647 4.375
1.684 6.430 11.681
1.985 2.827 8.844
1.548 12.003 16.163
-1.243 0.884 12.341
-3.647 9.763 13.535
-3.285 0.210 5.975
-0.969 0.486 8.881
-1.051 12.005 13.447
-6.679 11.735 13.159
-1.446 6.971 13.576
-5.606 -0.365 3.433
-0.662 -0.521 3.907
3.878 12.941 18.983
1.581 2.749 12.550
4.599 5.518 9.308
-2.847 3.759 4.653
-6.557 0.923 8.196
-4.056 8.816 17.085
-6.347 6.986 13.109
-3.590 9.673 9.868
-3.540 -3.079 7.132
-1.247 13.013 18.498
1.651 15.698 15.162
-0.496 5.639 8.629
-2.115 4.927 5.196
-1.301 0.980 10.426
-7.284 2.164 8.541
-1.215 13.638 13.643
-3.275 9.485 18.164
-7.520 12.400 14.433
0.210 7.517 16.995
-0.692 11.768 11.861
5.249 10.360 13.808
-0.733 -1.141 8.867
1.410 3.056 4.134
5.782 0.012 8.133
-5.609 8.153 13.599
-3.747 10.044 11.284
-2.309 8.333 13.891
-3.588 -1.599 7.208
-4.832 0.317 4.733
-1.535 0.108 5.159
-1.423 -1.824 3.243
-3.353 -3.547 5.742
-4.952 -1.799 2.978
-3.509 8.198 9.685
-2.091 6.092 12.339
-5.601 6.280 12.019
-0.465 14.180 18.997
1.452 16.010 16.599
3.042 14.313 19.336
1.375 4.392 12.584
0.260 6.317 9.719
3.742 6.220 10.547
3.680 4.348 8.608
1.961 2.318 11.011
0.087 4.289 8.409
1.664 14.231 14.956
3.157 12.131 17.739
-0.498 12.375 17.375
5.984 4.921 10.000
0.153 2.103 13.082
-0.452 6.477 7.422
0.506 16.322 14.412
-2.391 16.416 14.118
-1.388 12.053 19.624
-7.656 7.366 12.487
5.467 7.194 13.800
-1.492 5.900 14.871
-2.396 -3.626 7.933
0.631 -3.749 8.199
-0.536 0.539 2.641
-5.274 11.101 13.766
-2.483 11.363 13.943
-4.039 9.683 15.893
-2.271 0.970 7.963
-5.189 1.264 7.703
-3.139 2.800 5.762
-2.554 13.434 17.956
-5.811 13.380 17.652
-4.046 14.955 15.700
-5.037 5.309 8.941
-1.922 5.417 9.036
-3.694 3.673 11.126
0.755 -0.994 4.611
3.924 -0.744 4.690
2.381 -2.378 6.723
3.054 7.098 13.681
0.152 7.328 13.286
2.164 8.921 11.212
3.687 1.076 8.587
0.446 1.125 8.250
2.288 2.886 6.341
0.177 11.352 14.338
3.246 11.491 14.472
1.537 9.739 16.526